Crystalline Sc19Ru4Br28 at its relaxed geometry. Source: the Materials Project, functional r2SCAN.

## Properties
The size of the total moment comes out at 0.8 μB/f.u. The value obtained for the formation energy is -1.6103 eV per atom.

a = 11.1228 Å, b = 11.1130 Å, c = 11.1197 Å
α = 89.09°, β = 89.51°, γ = 89.02°
Fractional coordinates of all 51 atoms:
1 Ru 0.8996 0.8996 0.0982
2 Br 0.6023 0.1279 0.1264
3 Sc 0.8890 0.6738 0.1162
4 Br 0.6409 0.6383 0.1318
5 Br 0.8699 0.3959 0.1225
6 Sc 0.8834 0.8833 0.3258
7 Br 0.6069 0.8735 0.8740
8 Sc 0.6724 0.1178 0.8844
9 Br 0.8726 0.6078 0.8735
10 Br 0.1226 0.8710 0.3924
11 Br 0.6376 0.1349 0.6371
12 Sc 0.1323 0.1327 0.8636
13 Br 0.1286 0.6023 0.1281
14 Br 0.1260 0.1266 0.6025
15 Br 0.8700 0.3667 0.6360
16 Sc 0.6741 0.8880 0.1165
17 Br 0.8735 0.8741 0.6046
18 Br 0.8721 0.1224 0.3918
19 Br 0.3961 0.8687 0.1239
20 Br 0.3636 0.8708 0.6384
21 Sc 0.6278 0.6185 0.3826
22 Br 0.1224 0.3940 0.8716
23 Br 0.3796 0.3792 0.6339
24 Br 0.3522 0.3521 0.1103
25 Br 0.6301 0.6353 0.6286
26 Br 0.6350 0.3807 0.3814
27 Sc 0.3842 0.6165 0.6287
28 Sc 0.8629 0.1358 0.1328
29 Br 0.1326 0.6369 0.6386
30 Sc 0.1142 0.3253 0.1177
31 Sc 0.3249 0.8847 0.8852
32 Br 0.1097 0.3551 0.3551
33 Ru 0.8983 0.0993 0.8992
34 Sc 0.1184 0.1177 0.3260
35 Br 0.6352 0.3673 0.8706
36 Sc 0.1357 0.8633 0.1333
37 Br 0.6378 0.8722 0.3635
38 Sc 0.8846 0.1174 0.6732
39 Br 0.3666 0.6345 0.8754
40 Sc 0.1156 0.6733 0.8863
41 Sc 0.8833 0.3260 0.8834
42 Sc 0.3262 0.1139 0.1180
43 Sc 0.1158 0.8854 0.6739
44 Ru 0.0985 0.8988 0.8995
45 Sc 0.6154 0.3916 0.6176
46 Br 0.3889 0.6356 0.3893
47 Sc 0.8659 0.8668 0.8637
48 Br 0.3935 0.1233 0.8714
49 Ru 0.0978 0.0975 0.0972
50 Br 0.3558 0.1085 0.3556
51 Br 0.8757 0.6350 0.3663